Entry P
! Rb3InO3 (meta-GGA r2SCAN, relaxed); values from VASP
&SYSTEM
  ibrav = 0, nat = 28, ntyp = 3
/
ATOMIC_SPECIES
Rb 85.47 Rb.upf
O 16.00 O.upf
In 114.82 In.upf
CELL_PARAMETERS angstrom
-4.762 -0.054 5.038
-4.825 -2.211 -4.584
-1.730 -14.485 -1.789
ATOMIC_POSITIONS crystal
Rb 0.046 0.214 0.603
Rb 0.542 0.266 0.617
Rb 0.454 0.214 0.103
Rb 0.546 0.786 0.897
Rb 0.416 0.384 0.815
Rb 0.584 0.616 0.185
Rb 0.916 0.616 0.685
Rb 0.042 0.734 0.883
Rb 0.954 0.786 0.397
Rb 0.084 0.384 0.315
Rb 0.458 0.734 0.383
Rb 0.958 0.266 0.117
O 0.837 0.848 0.038
O 0.198 0.836 0.220
O 0.762 0.415 0.427
O 0.802 0.164 0.780
O 0.262 0.585 0.073
O 0.302 0.836 0.720
O 0.698 0.164 0.280
O 0.337 0.152 0.462
O 0.163 0.152 0.962
O 0.738 0.415 0.927
O 0.663 0.848 0.538
O 0.238 0.585 0.573
In 0.869 0.167 0.915
In 0.131 0.833 0.085
In 0.369 0.833 0.585
In 0.631 0.167 0.415
! Space group: P2_1/c, No. 14

Entry Q
! Rb3InO3 (meta-GGA r2SCAN, relaxed); values from VASP
&SYSTEM
  ibrav = 0, nat = 28, ntyp = 3
/
ATOMIC_SPECIES
O 16.00 O.upf
In 114.82 In.upf
Rb 85.47 Rb.upf
CELL_PARAMETERS angstrom
-5.722 -1.515 3.906
-1.698 -5.880 -4.769
6.043 -7.588 5.909
ATOMIC_POSITIONS crystal
O 0.563 0.694 0.691
O 0.437 0.306 0.309
O 0.147 0.747 0.539
O 0.547 0.895 0.401
O 0.647 0.253 0.961
O 0.953 0.895 0.901
O 0.063 0.306 0.809
O 0.853 0.253 0.461
O 0.937 0.694 0.191
O 0.047 0.105 0.099
O 0.453 0.105 0.599
O 0.353 0.747 0.039
In 0.088 0.839 0.067
In 0.912 0.161 0.933
In 0.412 0.839 0.567
In 0.588 0.161 0.433
Rb 0.324 0.360 0.075
Rb 0.195 0.632 0.808
Rb 0.876 0.944 0.655
Rb 0.124 0.056 0.345
Rb 0.176 0.360 0.575
Rb 0.824 0.640 0.425
Rb 0.624 0.944 0.155
Rb 0.376 0.056 0.845
Rb 0.805 0.368 0.192
Rb 0.676 0.640 0.925
Rb 0.305 0.632 0.308
Rb 0.695 0.368 0.692
! Space group: P2_1/c, No. 14

Most stable: entry Q

Entry P
! LiYbNbO3 (meta-GGA r2SCAN, relaxed); values from VASP
&SYSTEM
  ibrav = 0, nat = 6, ntyp = 4
/
ATOMIC_SPECIES
Yb 173.04 Yb.upf
O 16.00 O.upf
Li 6.94 Li.upf
Nb 92.91 Nb.upf
CELL_PARAMETERS angstrom
3.932 0.000 0.000
0.000 5.300 0.000
0.000 0.000 3.932
ATOMIC_POSITIONS crystal
Yb 0.000 0.000 0.000
O 0.500 0.500 0.000
O 0.000 0.500 0.500
O 0.500 0.000 0.500
Li 0.000 0.500 0.000
Nb 0.500 0.500 0.500
! Space group: P4/mmm, No. 123

Entry Q
! LiYbNbO3 (meta-GGA r2SCAN, relaxed); values from VASP
&SYSTEM
  ibrav = 0, nat = 6, ntyp = 4
/
ATOMIC_SPECIES
Nb 92.91 Nb.upf
O 16.00 O.upf
Yb 173.04 Yb.upf
Li 6.94 Li.upf
CELL_PARAMETERS angstrom
-1.618 0.811 3.886
3.502 -0.105 2.470
0.814 4.143 0.262
ATOMIC_POSITIONS crystal
Nb 0.465 0.465 0.490
O 0.478 0.478 0.990
O 0.966 0.462 0.470
O 0.462 0.966 0.470
Yb 0.133 0.133 0.112
Li 0.763 0.763 0.752
! Space group: Cm, No. 8

Most stable: entry Q

Entry P
! Pm3Y (meta-GGA r2SCAN, relaxed); values from VASP
&SYSTEM
  ibrav = 0, nat = 4, ntyp = 2
/
ATOMIC_SPECIES
Y 88.91 Y.upf
Pm 145.00 Pm.upf
CELL_PARAMETERS angstrom
-2.590 2.590 5.090
2.590 -2.590 5.090
2.590 2.590 -5.090
ATOMIC_POSITIONS crystal
Y 0.000 0.000 0.000
Pm 0.500 0.500 0.000
Pm 0.750 0.250 0.500
Pm 0.250 0.750 0.500
! Space group: I4/mmm, No. 139

Entry Q
! Pm3Y (meta-GGA r2SCAN, relaxed); values from VASP
&SYSTEM
  ibrav = 0, nat = 8, ntyp = 2
/
ATOMIC_SPECIES
Y 88.91 Y.upf
Pm 145.00 Pm.upf
CELL_PARAMETERS angstrom
1.379 7.093 -1.712
-6.305 -1.823 3.473
2.618 0.731 5.137
ATOMIC_POSITIONS crystal
Y 0.667 0.333 0.250
Y 0.333 0.667 0.750
Pm 0.167 0.333 0.250
Pm 0.167 0.833 0.250
Pm 0.833 0.667 0.750
Pm 0.833 0.167 0.750
Pm 0.333 0.167 0.750
Pm 0.667 0.833 0.250
! Space group: P6_3/mmc, No. 194

Most stable: entry Q

Entry P
! BiB3O6 (meta-GGA r2SCAN, relaxed); values from VASP
&SYSTEM
  ibrav = 0, nat = 40, ntyp = 3
/
ATOMIC_SPECIES
B 10.81 B.upf
Bi 208.98 Bi.upf
O 16.00 O.upf
CELL_PARAMETERS angstrom
6.706 0.000 0.000
0.000 4.414 0.000
0.000 1.313 13.938
ATOMIC_POSITIONS crystal
B 0.741 0.656 0.587
B 0.312 0.172 0.753
B 0.241 0.344 0.913
B 0.188 0.172 0.253
B 0.581 0.123 0.640
B 0.419 0.877 0.360
B 0.812 0.828 0.747
B 0.259 0.344 0.413
B 0.759 0.656 0.087
B 0.081 0.877 0.860
B 0.919 0.123 0.140
B 0.688 0.828 0.247
Bi 0.199 0.774 0.571
Bi 0.801 0.226 0.429
Bi 0.699 0.226 0.929
Bi 0.301 0.774 0.071
O 0.864 0.657 0.675
O 0.810 0.340 0.072
O 0.619 0.764 0.340
O 0.119 0.236 0.160
O 0.683 0.064 0.733
O 0.817 0.064 0.233
O 0.310 0.660 0.428
O 0.183 0.936 0.767
O 0.381 0.236 0.660
O 0.437 0.159 0.407
O 0.563 0.841 0.593
O 0.631 0.764 0.004
O 0.937 0.841 0.093
O 0.063 0.159 0.907
O 0.131 0.236 0.496
O 0.364 0.343 0.825
O 0.636 0.657 0.175
O 0.136 0.343 0.325
O 0.317 0.936 0.267
O 0.690 0.340 0.572
O 0.190 0.660 0.928
O 0.881 0.764 0.840
O 0.369 0.236 0.996
O 0.869 0.764 0.504
! Space group: P2_1/c, No. 14

Entry Q
! BiB3O6 (meta-GGA r2SCAN, relaxed); values from VASP
&SYSTEM
  ibrav = 0, nat = 10, ntyp = 3
/
ATOMIC_SPECIES
O 16.00 O.upf
B 10.81 B.upf
Bi 208.98 Bi.upf
CELL_PARAMETERS angstrom
4.354 -0.042 -0.022
1.485 4.094 0.170
1.430 0.675 6.334
ATOMIC_POSITIONS crystal
O 0.604 0.654 0.591
O 0.893 0.255 0.359
O 0.708 0.072 0.725
O 0.407 0.140 0.163
O 0.829 0.558 0.919
O 0.310 0.360 0.493
B 0.221 0.246 0.346
B 0.720 0.744 0.737
B 0.624 0.341 0.542
Bi 0.919 0.049 0.041
! Space group: P1, No. 1

Most stable: entry P

Entry P
! Ta (meta-GGA r2SCAN, relaxed); values from VASP
&SYSTEM
  ibrav = 0, nat = 30, ntyp = 1
/
ATOMIC_SPECIES
Ta 180.95 Ta.upf
CELL_PARAMETERS angstrom
5.308 0.000 0.000
0.000 10.222 0.000
0.000 0.000 10.222
ATOMIC_POSITIONS crystal
Ta 0.743 0.128 0.965
Ta 0.499 0.319 0.181
Ta 0.501 0.819 0.319
Ta 0.243 0.568 0.261
Ta 0.499 0.681 0.819
Ta 0.743 0.465 0.628
Ta 0.501 0.181 0.681
Ta 0.257 0.372 0.465
Ta 0.002 0.819 0.319
Ta 0.757 0.739 0.568
Ta 0.257 0.965 0.872
Ta 0.242 0.500 0.000
Ta 0.758 0.000 0.500
Ta 0.243 0.761 0.068
Ta 0.259 0.895 0.605
Ta 0.757 0.068 0.239
Ta 0.757 0.932 0.761
Ta 0.743 0.872 0.035
Ta 0.998 0.319 0.181
Ta 0.741 0.395 0.895
Ta 0.243 0.432 0.739
Ta 0.743 0.535 0.372
Ta 0.002 0.181 0.681
Ta 0.257 0.035 0.128
Ta 0.257 0.628 0.535
Ta 0.243 0.239 0.932
Ta 0.259 0.105 0.395
Ta 0.741 0.605 0.105
Ta 0.757 0.261 0.432
Ta 0.998 0.681 0.819
! Space group: P-42_1m, No. 113

Entry Q
! Ta (meta-GGA r2SCAN, relaxed); values from VASP
&SYSTEM
  ibrav = 0, nat = 1, ntyp = 1
/
ATOMIC_SPECIES
Ta 180.95 Ta.upf
CELL_PARAMETERS angstrom
2.702 0.000 -0.955
-1.351 2.340 -0.955
0.000 0.000 2.866
ATOMIC_POSITIONS crystal
Ta 0.000 0.000 0.000
! Space group: Im-3m, No. 229

Most stable: entry P

Entry P
! Ac3La (meta-GGA r2SCAN, relaxed); values from VASP
&SYSTEM
  ibrav = 0, nat = 8, ntyp = 2
/
ATOMIC_SPECIES
La 138.91 La.upf
Ac 227.00 Ac.upf
CELL_PARAMETERS angstrom
8.022 0.000 0.000
-4.011 6.947 0.000
0.000 0.000 6.506
ATOMIC_POSITIONS crystal
La 0.333 0.667 0.750
La 0.667 0.333 0.250
Ac 0.664 0.832 0.250
Ac 0.168 0.336 0.250
Ac 0.832 0.664 0.750
Ac 0.168 0.832 0.250
Ac 0.832 0.168 0.750
Ac 0.336 0.168 0.750
! Space group: P6_3/mmc, No. 194

Entry Q
! Ac3La (meta-GGA r2SCAN, relaxed); values from VASP
&SYSTEM
  ibrav = 0, nat = 4, ntyp = 2
/
ATOMIC_SPECIES
La 138.91 La.upf
Ac 227.00 Ac.upf
CELL_PARAMETERS angstrom
-0.960 0.545 6.732
-4.746 4.770 1.122
0.007 -5.447 -4.107
ATOMIC_POSITIONS crystal
La 0.000 0.000 0.000
Ac 0.250 0.750 0.500
Ac 0.750 0.250 0.500
Ac 0.500 0.500 0.000
! Space group: I4/mmm, No. 139

Most stable: entry P